1.
Density functional theory data (r2SCAN) for crystalline YCo12B6 at its relaxed geometry. Values from VASP.

Cell and atoms, written as Quantum ESPRESSO input:
```
&SYSTEM
  ibrav = 0, nat = 19, ntyp = 3
/
ATOMIC_SPECIES
Y 88.91 Y.upf
Co 58.93 Co.upf
B 10.81 B.upf
CELL_PARAMETERS angstrom
4.673 2.698 2.452
-4.673 2.698 2.452
0.000 -5.395 2.452
ATOMIC_POSITIONS crystal
Y 0.000 0.000 0.000
Co 0.133 0.500 0.867
Co 0.133 0.867 0.500
Co 0.186 0.458 0.458
Co 0.458 0.186 0.458
Co 0.458 0.458 0.186
Co 0.500 0.133 0.867
Co 0.500 0.867 0.133
Co 0.542 0.542 0.814
Co 0.542 0.814 0.542
Co 0.814 0.542 0.542
Co 0.867 0.133 0.500
Co 0.867 0.500 0.133
B 0.231 0.231 0.678
B 0.231 0.678 0.231
B 0.322 0.769 0.769
B 0.678 0.231 0.231
B 0.769 0.322 0.769
B 0.769 0.769 0.322
```

Results
total magnetization = 9.27 Bohr magnetons per cell
calculated volume = 185.43 Å³/cell
energy of formation = -255 meV/atom
total DFT energy (no corrections) = -12.0024 eV/atom
space-group type = No. 166
calculated density = 7710 kg/m3

=====

2.
Density functional theory data (r2SCAN) for crystalline BaCo2N2 at its relaxed geometry. Values from VASP.

Cell and atoms, written as Quantum ESPRESSO input:
```
&SYSTEM
  ibrav = 0, nat = 10, ntyp = 3
/
ATOMIC_SPECIES
Ba 137.33 Ba.upf
Co 58.93 Co.upf
N 14.01 N.upf
CELL_PARAMETERS angstrom
-3.019 3.019 4.536
3.019 -3.019 4.536
3.019 3.019 -4.536
ATOMIC_POSITIONS crystal
Ba 0.250 0.250 0.000
Ba 0.750 0.750 0.000
Co 0.132 0.632 0.764
Co 0.368 0.132 0.500
Co 0.632 0.868 0.500
Co 0.868 0.368 0.236
N 0.164 0.336 0.500
N 0.336 0.836 0.172
N 0.664 0.164 0.828
N 0.836 0.664 0.500
```

Results
total magnetization = 0.00 Bohr magnetons per cell
calculated volume = 165.36 Å³/cell
energy of formation = -366 meV/atom
total DFT energy (no corrections) = -14.6106 eV/atom
space-group type = No. 140
calculated density = 5688 kg/m3

=====

3.
Density functional theory data (r2SCAN) for crystalline SmSnPt at its relaxed geometry. Values from VASP.

Cell and atoms, written as Quantum ESPRESSO input:
```
&SYSTEM
  ibrav = 0, nat = 12, ntyp = 3
/
ATOMIC_SPECIES
Sm 150.36 Sm.upf
Sn 118.71 Sn.upf
Pt 195.08 Pt.upf
CELL_PARAMETERS angstrom
7.359 0.000 0.000
0.000 4.600 0.000
0.000 0.000 8.025
ATOMIC_POSITIONS crystal
Sm 0.012 0.250 0.196
Sm 0.488 0.750 0.696
Sm 0.512 0.250 0.304
Sm 0.988 0.750 0.804
Sn 0.178 0.250 0.584
Sn 0.322 0.750 0.084
Sn 0.678 0.250 0.916
Sn 0.822 0.750 0.416
Pt 0.213 0.750 0.410
Pt 0.287 0.250 0.910
Pt 0.713 0.750 0.090
Pt 0.787 0.250 0.590
```

Results
total magnetization = 0.00 Bohr magnetons per cell
calculated volume = 271.67 Å³/cell
energy of formation = -1166 meV/atom
total DFT energy (no corrections) = -36.4883 eV/atom
space-group type = No. 62
calculated density = 11348 kg/m3

=====

4.
Density functional theory data (r2SCAN) for crystalline Ti3Rh5 at its relaxed geometry. Values from VASP.

Cell and atoms, written as Quantum ESPRESSO input:
```
&SYSTEM
  ibrav = 0, nat = 16, ntyp = 2
/
ATOMIC_SPECIES
Ti 47.87 Ti.upf
Rh 102.91 Rh.upf
CELL_PARAMETERS angstrom
5.378 0.000 0.000
0.000 10.429 0.000
0.000 0.000 4.111
ATOMIC_POSITIONS crystal
Ti 0.000 0.000 0.000
Ti 0.161 0.356 0.500
Ti 0.339 0.856 0.500
Ti 0.500 0.500 0.000
Ti 0.661 0.144 0.500
Ti 0.839 0.644 0.500
Rh 0.000 0.500 0.000
Rh 0.105 0.765 0.000
Rh 0.187 0.107 0.500
Rh 0.313 0.607 0.500
Rh 0.395 0.265 0.000
Rh 0.500 0.000 0.000
Rh 0.605 0.735 0.000
Rh 0.687 0.393 0.500
Rh 0.813 0.893 0.500
Rh 0.895 0.235 0.000
```

Results
total magnetization = 0.00 Bohr magnetons per cell
calculated volume = 230.56 Å³/cell
energy of formation = -831 meV/atom
total DFT energy (no corrections) = -20.7681 eV/atom
space-group type = No. 55
calculated density = 9480 kg/m3

=====

5.
Density functional theory data (r2SCAN) for crystalline SrPbS2 at its relaxed geometry. Values from VASP.

Cell and atoms, written as Quantum ESPRESSO input:
```
&SYSTEM
  ibrav = 0, nat = 4, ntyp = 3
/
ATOMIC_SPECIES
Sr 87.62 Sr.upf
Pb 207.20 Pb.upf
S 32.06 S.upf
CELL_PARAMETERS angstrom
2.128 1.229 6.963
-2.128 1.229 6.963
0.000 -2.458 6.963
ATOMIC_POSITIONS crystal
Sr 0.000 0.000 0.000
Pb 0.500 0.500 0.500
S 0.251 0.251 0.251
S 0.749 0.749 0.749
```

Results
total magnetization = 0.00 Bohr magnetons per cell
calculated volume = 109.27 Å³/cell
energy of formation = -1524 meV/atom
total DFT energy (no corrections) = -23.3988 eV/atom
space-group type = No. 166
calculated density = 5455 kg/m3

=====

6.
Density functional theory data (r2SCAN) for crystalline K3GaS3 at its relaxed geometry. Values from VASP.

Cell and atoms, written as Quantum ESPRESSO input:
```
&SYSTEM
  ibrav = 0, nat = 28, ntyp = 3
/
ATOMIC_SPECIES
K 39.10 K.upf
Ga 69.72 Ga.upf
S 32.06 S.upf
CELL_PARAMETERS angstrom
7.755 0.000 0.000
0.000 12.539 0.000
-6.183 0.000 8.027
ATOMIC_POSITIONS crystal
K 0.120 0.125 0.473
K 0.120 0.375 0.973
K 0.159 0.090 0.893
K 0.159 0.410 0.393
K 0.363 0.689 0.578
K 0.363 0.811 0.078
K 0.637 0.189 0.922
K 0.637 0.311 0.422
K 0.841 0.590 0.607
K 0.841 0.910 0.107
K 0.880 0.625 0.027
K 0.880 0.875 0.527
Ga 0.436 0.060 0.336
Ga 0.436 0.440 0.836
Ga 0.564 0.560 0.164
Ga 0.564 0.940 0.664
S 0.155 0.176 0.189
S 0.155 0.324 0.689
S 0.345 0.607 0.879
S 0.345 0.893 0.379
S 0.374 0.546 0.263
S 0.374 0.954 0.763
S 0.626 0.046 0.237
S 0.626 0.454 0.737
S 0.655 0.107 0.621
S 0.655 0.393 0.121
S 0.845 0.676 0.311
S 0.845 0.824 0.811
```

Results
total magnetization = 0.00 Bohr magnetons per cell
calculated volume = 780.55 Å³/cell
energy of formation = -1309 meV/atom
total DFT energy (no corrections) = -8.9661 eV/atom
space-group type = No. 14
calculated density = 2410 kg/m3

=====

7.
Density functional theory data (r2SCAN) for crystalline CuS at its relaxed geometry. Values from VASP.

Cell and atoms, written as Quantum ESPRESSO input:
```
&SYSTEM
  ibrav = 0, nat = 12, ntyp = 2
/
ATOMIC_SPECIES
Cu 63.55 Cu.upf
S 32.06 S.upf
CELL_PARAMETERS angstrom
1.877 -3.276 0.000
1.877 3.276 0.000
0.000 0.000 16.293
ATOMIC_POSITIONS crystal
Cu 0.136 0.864 0.750
Cu 0.162 0.838 0.107
Cu 0.162 0.838 0.393
Cu 0.838 0.162 0.607
Cu 0.838 0.162 0.893
Cu 0.864 0.136 0.250
S 0.195 0.805 0.250
S 0.496 0.504 0.064
S 0.496 0.504 0.436
S 0.504 0.496 0.564
S 0.504 0.496 0.936
S 0.805 0.195 0.750
```

Results
total magnetization = 0.00 Bohr magnetons per cell
calculated volume = 200.35 Å³/cell
energy of formation = -278 meV/atom
total DFT energy (no corrections) = -9.7182 eV/atom
space-group type = No. 63
calculated density = 4755 kg/m3

=====

8.
Density functional theory data (r2SCAN) for crystalline ThInCu2 at its relaxed geometry. Values from VASP.

Cell and atoms, written as Quantum ESPRESSO input:
```
&SYSTEM
  ibrav = 0, nat = 4, ntyp = 3
/
ATOMIC_SPECIES
Th 232.04 Th.upf
In 114.82 In.upf
Cu 63.55 Cu.upf
CELL_PARAMETERS angstrom
0.000 3.399 3.399
3.399 0.000 3.399
3.399 3.399 0.000
ATOMIC_POSITIONS crystal
Th 0.000 0.000 0.000
In 0.500 0.500 0.500
Cu 0.250 0.250 0.250
Cu 0.750 0.750 0.750
```

Results
total magnetization = 0.00 Bohr magnetons per cell
calculated volume = 78.57 Å³/cell
energy of formation = -266 meV/atom
total DFT energy (no corrections) = -29.7031 eV/atom
space-group type = No. 225
calculated density = 10016 kg/m3

=====

9.
Density functional theory data (r2SCAN) for crystalline CeZnNi4 at its relaxed geometry. Values from VASP.

Cell and atoms, written as Quantum ESPRESSO input:
```
&SYSTEM
  ibrav = 0, nat = 6, ntyp = 3
/
ATOMIC_SPECIES
Ce 140.12 Ce.upf
Zn 65.41 Zn.upf
Ni 58.69 Ni.upf
CELL_PARAMETERS angstrom
4.990 0.000 0.000
-2.495 4.322 0.000
0.000 0.000 3.893
ATOMIC_POSITIONS crystal
Ce 0.000 0.000 0.000
Zn 0.333 0.667 0.000
Ni 0.503 0.006 0.500
Ni 0.503 0.497 0.500
Ni 0.667 0.333 0.000
Ni 0.994 0.497 0.500
```

Results
total magnetization = 0.19 Bohr magnetons per cell
calculated volume = 83.96 Å³/cell
energy of formation = -295 meV/atom
total DFT energy (no corrections) = -14.9076 eV/atom
space-group type = No. 187
calculated density = 8708 kg/m3

=====

10.
Density functional theory data (r2SCAN) for crystalline AgSb2F12 at its relaxed geometry. Values from VASP.

Cell and atoms, written as Quantum ESPRESSO input:
```
&SYSTEM
  ibrav = 0, nat = 15, ntyp = 3
/
ATOMIC_SPECIES
Ag 107.87 Ag.upf
Sb 121.76 Sb.upf
F 19.00 F.upf
CELL_PARAMETERS angstrom
5.102 0.000 0.000
2.150 4.975 0.000
0.122 2.148 8.308
ATOMIC_POSITIONS crystal
Ag 0.000 0.000 0.000
Sb 0.235 0.519 0.728
Sb 0.765 0.481 0.272
F 0.155 0.262 0.273
F 0.179 0.271 0.628
F 0.201 0.279 0.934
F 0.294 0.733 0.870
F 0.299 0.747 0.548
F 0.367 0.702 0.220
F 0.633 0.298 0.780
F 0.701 0.253 0.452
F 0.706 0.267 0.130
F 0.799 0.721 0.066
F 0.821 0.729 0.372
F 0.845 0.738 0.727
```

Results
total magnetization = 1.00 Bohr magnetons per cell
calculated volume = 210.87 Å³/cell
energy of formation = -2214 meV/atom
total DFT energy (no corrections) = -9.5665 eV/atom
space-group type = No. 2
calculated density = 4562 kg/m3

=====

11.
Density functional theory data (r2SCAN) for crystalline LaMn2Si2 at its relaxed geometry. Values from VASP.

Cell and atoms, written as Quantum ESPRESSO input:
```
&SYSTEM
  ibrav = 0, nat = 5, ntyp = 3
/
ATOMIC_SPECIES
La 138.91 La.upf
Mn 54.94 Mn.upf
Si 28.09 Si.upf
CELL_PARAMETERS angstrom
-2.098 2.098 5.332
2.098 -2.098 5.332
2.098 2.098 -5.332
ATOMIC_POSITIONS crystal
La 0.000 0.000 0.000
Mn 0.250 0.750 0.500
Mn 0.750 0.250 0.500
Si 0.383 0.383 0.000
Si 0.617 0.617 0.000
```

Results
total magnetization = 7.47 Bohr magnetons per cell
calculated volume = 93.90 Å³/cell
energy of formation = -645 meV/atom
total DFT energy (no corrections) = -15.9772 eV/atom
space-group type = No. 139
calculated density = 5393 kg/m3

=====

12.
Density functional theory data (r2SCAN) for crystalline Sm3Ho at its relaxed geometry. Values from VASP.

Cell and atoms, written as Quantum ESPRESSO input:
```
&SYSTEM
  ibrav = 0, nat = 4, ntyp = 2
/
ATOMIC_SPECIES
Sm 150.36 Sm.upf
Ho 164.93 Ho.upf
CELL_PARAMETERS angstrom
-2.556 2.556 5.069
2.556 -2.556 5.069
2.556 2.556 -5.069
ATOMIC_POSITIONS crystal
Sm 0.000 0.000 0.000
Sm 0.250 0.750 0.500
Sm 0.750 0.250 0.500
Ho 0.500 0.500 0.000
```

Results
total magnetization = 0.00 Bohr magnetons per cell
excess energy over the best structure of this formula in the dataset = 18 meV/atom
calculated volume = 132.43 Å³/cell
energy of formation = 29 meV/atom
total DFT energy (no corrections) = -30.4912 eV/atom
space-group type = No. 139
calculated density = 7724 kg/m3